Record 1
Mn6O5F7, relaxed, DFT GGA+U; total energy = -239.4 eV per cell; space group = P1, No. 1; ΔH_f (0 K) = -2.4028 eV/atom; energy above the lowest structure with this stoichiometry = 38 meV per atom
1.0
4.6901 0.0000 0.0000
0.1679 5.7390 0.0000
0.3149 0.2604 15.6710
Mn O F
12 10 14
direct
0.0000 0.0000 0.0000 Mn
0.0012 0.3131 0.1613 Mn
0.4712 0.7909 0.1798 Mn
0.4965 0.5040 0.0130 Mn
0.5109 0.5021 0.3446 Mn
0.5132 0.7918 0.5058 Mn
0.5206 0.8138 0.8469 Mn
0.5306 0.4955 0.6772 Mn
0.9595 0.3115 0.5045 Mn
0.9659 0.9886 0.6814 Mn
0.9840 0.9824 0.3424 Mn
0.9877 0.2898 0.8372 Mn
0.2727 0.7538 0.2897 O
0.2834 0.5305 0.1198 O
0.2902 0.7743 0.9529 O
0.7143 0.5379 0.5613 O
0.7228 0.7619 0.7393 O
0.7245 0.7588 0.3996 O
0.7682 0.2635 0.3969 O
0.7783 0.2510 0.7350 O
0.7852 0.2702 0.0562 O
0.7955 0.0399 0.8953 O
0.2029 0.2633 0.6159 F
0.2304 0.2515 0.2800 F
0.2318 0.0368 0.4598 F
0.2341 0.0296 0.1061 F
0.2446 0.2804 0.9373 F
0.2533 0.5333 0.4529 F
0.2525 0.7707 0.6186 F
0.2575 0.0236 0.7819 F
0.2586 0.5203 0.7856 F
0.7369 0.5392 0.9046 F
0.7404 0.7713 0.0750 F
0.7440 0.0383 0.5674 F
0.7516 0.5335 0.2337 F
0.7632 0.0407 0.2219 F

---

Record 2
VPO5, relaxed, DFT GGA+U; total energy = -206.3 eV per cell; space group = P-1, No. 2; ΔH_f (0 K) = -2.4944 eV/atom; energy above the lowest structure with this stoichiometry = 6 meV per atom
1.0
7.0150 0.0000 0.0000
3.1849 6.7111 0.0000
0.0160 0.1336 7.5776
V P O
4 4 20
direct
0.2043 0.0383 0.2697 V
0.2939 0.4566 0.7704 V
0.7061 0.5434 0.2296 V
0.7957 0.9617 0.7303 V
0.0169 0.7426 0.0908 P
0.4879 0.2552 0.4084 P
0.5121 0.7448 0.5916 P
0.9831 0.2574 0.9092 P
0.0021 0.2260 0.3448 O
0.0592 0.3971 0.8083 O
0.0797 0.8563 0.2290 O
0.1669 0.1081 0.0266 O
0.2096 0.6181 0.9772 O
0.3019 0.3793 0.5321 O
0.3202 0.8917 0.4840 O
0.4137 0.1385 0.2799 O
0.4500 0.6039 0.7025 O
0.4851 0.2562 0.8466 O
0.5149 0.7438 0.1534 O
0.5500 0.3961 0.2975 O
0.5863 0.8615 0.7201 O
0.6798 0.1083 0.5160 O
0.6981 0.6207 0.4679 O
0.7904 0.3819 0.0228 O
0.8331 0.8919 0.9734 O
0.9203 0.1437 0.7710 O
0.9408 0.6029 0.1917 O
0.9979 0.7740 0.6552 O

---

Record 3
Mo6H10N2Cl14O, relaxed, DFT GGA+U; total energy = -284.1 eV per cell; space group = Cc, No. 9; ΔH_f (0 K) = -0.4675 eV/atom; energy above the lowest structure with this stoichiometry = 0 meV per atom
1.0
10.4739 -8.0829 0.0000
10.4739 8.0829 0.0000
-4.0632 0.0000 9.0274
Mo H N Cl O
12 20 4 28 2
direct
0.0223 0.6612 0.2421 Mo
0.0988 0.6649 0.6093 Mo
0.1215 0.8785 0.5000 Mo
0.2479 0.4980 0.3700 Mo
0.2718 0.7072 0.2659 Mo
0.3477 0.7125 0.6313 Mo
0.4980 0.2479 0.8700 Mo
0.6612 0.0223 0.7421 Mo
0.6649 0.0988 0.1093 Mo
0.7072 0.2718 0.7659 Mo
0.7125 0.3477 0.1313 Mo
0.8785 0.1215 0.0000 Mo
0.0178 0.4316 0.7427 H
0.0867 0.2601 0.4874 H
0.1452 0.1477 0.8879 H
0.1477 0.1452 0.3879 H
0.1829 0.2623 0.4040 H
0.2161 0.2166 0.0561 H
0.2166 0.2161 0.5561 H
0.2601 0.0867 0.9874 H
0.2623 0.1829 0.9040 H
0.3549 0.9326 0.1799 H
0.4316 0.0178 0.2427 H
0.5651 0.7305 0.1164 H
0.6367 0.8344 0.1962 H
0.6377 0.7516 0.2943 H
0.7030 0.7041 0.1580 H
0.7041 0.7030 0.6580 H
0.7305 0.5651 0.6164 H
0.7516 0.6377 0.7943 H
0.8344 0.6367 0.6962 H
0.9326 0.3549 0.6799 H
0.1577 0.2210 0.4579 N
0.2210 0.1577 0.9579 N
0.6359 0.7541 0.1904 N
0.7541 0.6359 0.6904 N
0.0085 0.6327 0.7693 Cl
0.0086 0.5339 0.3772 Cl
0.0693 0.0739 0.5914 Cl
0.0739 0.0693 0.0914 Cl
0.0785 0.7929 0.1579 Cl
0.1435 0.5099 0.1092 Cl
0.2164 0.8044 0.7884 Cl
0.2900 0.2983 0.3019 Cl
0.2983 0.2900 0.8019 Cl
0.3221 0.8872 0.5636 Cl
0.3319 0.5307 0.6476 Cl
0.3701 0.7405 0.1181 Cl
0.4391 0.6155 0.4256 Cl
0.5099 0.1435 0.6092 Cl
0.5160 0.7287 0.8218 Cl
0.5307 0.3319 0.1476 Cl
0.5339 0.0086 0.8772 Cl
0.6155 0.4391 0.9256 Cl
0.6327 0.0085 0.2693 Cl
0.6364 0.8488 0.5574 Cl
0.7287 0.5160 0.3218 Cl
0.7405 0.3701 0.6181 Cl
0.7929 0.0785 0.6579 Cl
0.8044 0.2164 0.2884 Cl
0.8176 0.9376 0.9193 Cl
0.8488 0.6364 0.0574 Cl
0.8872 0.3221 0.0636 Cl
0.9376 0.8176 0.4193 Cl
0.0103 0.3554 0.6986 O
0.3554 0.0103 0.1986 O

---

Record 4
Li4Ti3Mn6O18, relaxed, DFT GGA+U; total energy = -457.8 eV per cell; space group = Pmc2_1, No. 26; ΔH_f (0 K) = -2.4496 eV/atom
1.0
2.9094 0.0000 0.0000
0.0000 9.0432 0.0000
0.0000 0.0000 25.9241
Li Ti Mn O
8 6 12 36
direct
0.0000 0.0444 0.0000 Li
0.0000 0.0554 0.7852 Li
0.0000 0.4449 0.8154 Li
0.0000 0.4470 0.6026 Li
0.0000 0.5530 0.1026 Li
0.0000 0.5551 0.3154 Li
0.0000 0.9446 0.2852 Li
0.0000 0.9556 0.5000 Li
0.0000 0.2474 0.6941 Ti
0.0000 0.2499 0.9007 Ti
0.0000 0.7501 0.4007 Ti
0.0000 0.7526 0.1941 Ti
0.5000 0.3955 0.9909 Ti
0.5000 0.6045 0.4909 Ti
0.0000 0.2266 0.1059 Mn
0.0000 0.2520 0.2981 Mn
0.0000 0.2650 0.4901 Mn
0.0000 0.7350 0.9901 Mn
0.0000 0.7480 0.7981 Mn
0.0000 0.7734 0.6059 Mn
0.5000 0.1002 0.3848 Mn
0.5000 0.1023 0.6050 Mn
0.5000 0.4001 0.2105 Mn
0.5000 0.5999 0.7105 Mn
0.5000 0.8977 0.1050 Mn
0.5000 0.8998 0.8848 Mn
0.0000 0.0444 0.8804 O
0.0000 0.0605 0.6528 O
0.0000 0.1459 0.5593 O
0.0000 0.2406 0.3728 O
0.0000 0.2619 0.2236 O
0.0000 0.3497 0.0363 O
0.0000 0.4357 0.9402 O
0.0000 0.4535 0.7105 O
0.0000 0.5465 0.2105 O
0.0000 0.5643 0.4402 O
0.0000 0.6503 0.5363 O
0.0000 0.7381 0.7236 O
0.0000 0.7594 0.8728 O
0.0000 0.8541 0.0593 O
0.0000 0.9395 0.1528 O
0.0000 0.9556 0.3804 O
0.5000 0.0998 0.0801 O
0.5000 0.1079 0.2978 O
0.5000 0.1391 0.4654 O
0.5000 0.1896 0.7373 O
0.5000 0.1986 0.9547 O
0.5000 0.2978 0.6384 O
0.5000 0.3074 0.8565 O
0.5000 0.3523 0.1313 O
0.5000 0.3958 0.5115 O
0.5000 0.3966 0.2977 O
0.5000 0.6034 0.7977 O
0.5000 0.6042 0.0115 O
0.5000 0.6477 0.6313 O
0.5000 0.6926 0.3565 O
0.5000 0.7022 0.1384 O
0.5000 0.8014 0.4547 O
0.5000 0.8104 0.2373 O
0.5000 0.8609 0.9654 O
0.5000 0.8921 0.7978 O
0.5000 0.9002 0.5801 O